# 1
Here is crystalline FeOF at its relaxed geometry from Materials Project. Energies are from GGA+U.

Cell: 3.0853 9.4638 14.2567 Å, 89.95 90.00 90.00°
Closest atoms and distances in Å follow each position.
Positions (direct):
O  0.5000  0.9030  0.9362  3 Fe 1.93-1.96
O  0.0000  0.8506  0.4292  3 Fe 1.92-1.95
O  0.5000  0.4111  0.5994  3 Fe 1.91-1.93
O  0.0000  0.3470  0.4345  3 Fe 1.93-1.94
O  0.5000  0.5892  0.0662  3 Fe 1.88-2.01
O  0.5000  0.9111  0.5948  3 Fe 1.93-1.94
O  0.0000  0.8521  0.1076  3 Fe 1.94-1.96
O  0.0000  0.3496  0.7677  3 Fe 1.93-1.94
O  0.0000  0.8494  0.7651  3 Fe 1.93-1.94
O  0.0000  0.1395  0.2397  3 Fe 1.93-1.96
O  0.5000  0.4020  0.2692  3 Fe 1.93-1.95
O  0.5000  0.3989  0.9402  3 Fe 1.91-1.99
Fe  0.5000  0.7441  0.1487  3 O 1.88-1.94
Fe  0.0000  0.4812  0.3313  3 O 1.93-1.94, 3 F 2.12-2.14
Fe  0.5000  0.2753  0.8346  3 O 1.91-1.94
Fe  0.0000  0.9806  0.9994  3 O 1.93-1.96, 3 F 2.14-2.16
Fe  0.5000  0.2378  0.1862  3 O 1.95-1.96, 3 F 2.09-2.15
Fe  0.0000  0.9950  0.3349  2 O 1.92-1.93, 4 F 2.02-2.07
Fe  0.5000  0.7741  0.8292  3 O 1.93-1.96, 2 F 2.12
Fe  0.5000  0.7728  0.4953  3 O 1.93-1.95, 3 F 2.11-2.13
Fe  0.0000  0.4937  0.0019  4 O 1.99-2.01, 2 F 2.17
Fe  0.0000  0.9834  0.6618  3 O 1.94, 3 F 2.11-2.13
Fe  0.0000  0.4832  0.6651  3 O 1.93, 2 F 2.11
Fe  0.5000  0.2752  0.5000  3 O 1.91-1.93, 2 F 2.13
F  0.5000  0.6030  0.7276  3 Fe 2.11-2.17
F  0.5000  0.1009  0.0660  3 Fe 2.14-2.15
F  0.5000  0.8953  0.2724  2 Fe 2.02
F  0.0000  0.6525  0.8921  3 Fe 2.12-2.17
F  0.5000  0.0965  0.4042  3 Fe 2.07-2.18
F  0.5000  0.6004  0.3991  3 Fe 2.13-2.14
F  0.0000  0.3301  0.1091  3 Fe 2.09-2.17
F  0.0000  0.6594  0.5628  3 Fe 2.11-2.22
F  0.5000  0.0998  0.7270  3 Fe 2.11-2.26
F  0.0000  0.1563  0.5658  3 Fe 2.13
F  0.0000  0.1504  0.8981  3 Fe 2.14-2.16
F  0.0000  0.6553  0.2379  3 Fe 2.12-2.17

Results
Total energy after the MP2020 corrections = -7.15 eV/atom
Size of the total moment = 60.0 μB per cell
SG = No. 6
Total energy = -216.53 eV for the cell shown

# 2
Here is crystalline Ba2Mn2TlO7 at its relaxed geometry from Materials Project. Energies are from GGA+U.

Cell: 3.7779 3.7779 14.1371 Å, 90.00 90.00 90.00°
Closest atoms and distances in Å follow each position.
Positions (direct):
O  0.0000  0.5000  0.8511  2 Mn 1.91
O  0.0000  0.0000  0.3523  1 Tl 2.09
O  0.5000  0.0000  0.8511  2 Mn 1.91
O  0.5000  0.0000  0.1489  2 Mn 1.91
O  0.0000  0.5000  0.1489  2 Mn 1.91
O  0.5000  0.5000  0.5000  4 Tl 2.67, 2 Ba 2.82
O  0.0000  0.0000  0.6477  1 Tl 2.09
Ba  0.5000  0.5000  0.3003  9 O 2.77-2.86
Ba  0.5000  0.5000  0.6997  9 O 2.77-2.86
Tl  0.0000  0.0000  0.5000  2 O 2.09
Mn  0.0000  0.0000  0.1287  4 O 1.91
Mn  0.0000  0.0000  0.8713  4 O 1.91

Results
Total energy after the MP2020 corrections = -6.87 eV/atom
Size of the total moment = 7.6 μB per cell
SG = No. 123
Total energy = -74.32 eV for the cell shown

# 3
Here is crystalline Li2MnF4 at its relaxed geometry from Materials Project. Energies are from GGA+U.

Cell: 5.5168 5.5168 5.5168 Å, 129.07 129.07 74.89°
Closest atoms and distances in Å follow each position.
Positions (direct):
Li  0.5000  0.5000  0.0000  4 F 1.91
Li  0.2500  0.7500  0.5000  4 F 1.88
F  0.8865  0.8230  0.4781  2 Li 1.88-1.91, 1 Mn 2.03
F  0.5916  0.1135  0.9365  2 Li 1.88-1.91, 1 Mn 2.03
F  0.3449  0.4084  0.5219  2 Li 1.88-1.91, 1 Mn 2.03
F  0.1770  0.6551  0.0635  2 Li 1.88-1.91, 1 Mn 2.03
Mn  0.0000  0.0000  0.0000  4 F 2.03

Results
Total energy after the MP2020 corrections = -5.93 eV/atom
Maximum piezoelectric response = 0.527 C/m2
Size of the total moment = 5.0 μB per cell
SG = No. 82
Excess energy over the best structure of this formula in the dataset = 0.50 eV per formula unit
Total energy = -38.03 eV for the cell shown

# 4
Here is crystalline MgMn6O8F4 at its relaxed geometry from Materials Project. Energies are from GGA+U.

Cell: 5.3105 7.6647 5.7350 Å, 97.60 99.78 83.15°
Closest atoms and distances in Å follow each position.
Positions (direct):
O  0.7006  0.7639  0.4570  3 Mn 1.91-1.96
O  0.7050  0.4378  0.0998  3 Mn 1.91-1.96
O  0.1246  0.9022  0.7439  2 Mn 1.89-1.99
O  0.3001  0.2187  0.5284  3 Mn 1.97-2.12, 1 Mg 2.01
O  0.2944  0.8887  0.2241  3 Mn 1.91-1.95
O  0.2984  0.5629  0.8675  3 Mn 1.91-1.96
O  0.6975  0.1062  0.7982  3 Mn 1.98-2.11, 1 Mg 2.00
O  0.8760  0.4252  0.5788  2 Mn 1.88-1.99
Mn  0.9997  0.6634  0.6620  4 O 1.95-1.99
Mn  0.9839  0.9701  0.0280  3 O 1.89-2.11, 2 F 2.00-2.03
Mn  0.5005  0.3418  0.8162  4 O 1.91-1.99
Mn  0.5000  0.6634  0.1619  4 O 1.95-1.96
Mn  0.4923  0.9816  0.5140  4 O 1.91-2.00
Mn  0.0162  0.3566  0.2961  2 O 1.88-1.92, 2 F 2.00-2.02
F  0.2232  0.5681  0.3645  3 Mn 2.02-2.26
F  0.7775  0.7579  0.9594  3 Mn 2.03-2.26
F  0.8387  0.0933  0.3124  1 Mn 2.00, 1 Mg 2.06
F  0.1610  0.2344  0.0101  1 Mn 2.00, 1 Mg 2.07
Mg  0.9965  0.1636  0.6609  4 O 2.00-2.13, 2 F 2.06-2.07

Results
Total energy after the MP2020 corrections = -7.75 eV/atom
Size of the total moment = 24.0 μB per cell
SG = No. 1
Excess energy over the best structure of this formula in the dataset = 0.58 eV per formula unit
Total energy = -129.83 eV for the cell shown

# 5
Here is crystalline SrMoO4 at its relaxed geometry from Materials Project. Energies are from GGA+U.

Cell: 5.4432 5.4998 7.2427 Å, 112.28 112.04 90.07°
Closest atoms and distances in Å follow each position.
Positions (direct):
O  0.9324  0.8036  0.5836  1 Mo 1.81
O  0.3488  0.7200  0.4164  1 Mo 1.81
O  0.1926  0.3398  0.9063  1 Mo 1.80
O  0.0676  0.1964  0.4164  1 Mo 1.81
O  0.2863  0.9334  0.0937  1 Mo 1.80
O  0.8074  0.6602  0.0937  1 Mo 1.80
O  0.7137  0.0666  0.9063  1 Mo 1.80
O  0.6512  0.2800  0.5836  1 Mo 1.81
Sr  0.6241  0.3741  0.2481  8 O 2.62-2.64
Sr  0.3759  0.6259  0.7519  8 O 2.62-2.64
Mo  0.1281  0.8781  0.2562  4 O 1.80-1.81
Mo  0.8719  0.1219  0.7438  4 O 1.80-1.81

Results
Total energy after the MP2020 corrections = -8.05 eV/atom
Size of the total moment = 0.0 μB per cell
SG = No. 15
Total energy = -84.73 eV for the cell shown

# 6
Here is crystalline Li3V3P8O29 at its relaxed geometry from Materials Project. Energies are from GGA+U.

Cell: 9.7617 9.7688 14.0254 Å, 89.48 89.49 60.03°
Closest atoms and distances in Å follow each position.
Positions (direct):
P  0.6633  0.6740  0.1288  4 O 1.48-1.62
P  0.0879  0.2259  0.6575  4 O 1.49-1.60
P  0.3134  0.7704  0.8417  4 O 1.48-1.62
P  0.3094  0.9121  0.3402  4 O 1.49-1.62
P  0.6913  0.0866  0.6601  4 O 1.49-1.62
P  0.6704  0.6638  0.6287  4 O 1.48-1.60
P  0.6892  0.2289  0.1556  4 O 1.47-1.62
P  0.9103  0.3139  0.8408  4 O 1.48-1.63
P  0.3266  0.3372  0.3720  4 O 1.48-1.61
P  0.2315  0.0860  0.1567  4 O 1.48-1.60
P  0.0916  0.6817  0.1609  4 O 1.50-1.61
P  0.3329  0.3305  0.8700  4 O 1.48-1.61
P  0.9113  0.7715  0.3417  4 O 1.49-1.62
P  0.7698  0.9117  0.8445  4 O 1.48-1.61
P  0.7767  0.3054  0.3441  4 O 1.48-1.61
P  0.2247  0.6924  0.6548  4 O 1.48-1.62
V  0.4390  0.9929  0.7451  6 O 1.82-2.00
V  0.5609  0.0093  0.2560  6 O 1.81-2.01
V  0.9942  0.4339  0.2449  6 O 1.80-2.00
V  0.0017  0.5627  0.7504  6 O 1.83-1.95
V  0.4376  0.5624  0.2514  6 O 1.84-1.94
V  0.5643  0.4346  0.7494  6 O 1.86-1.92
O  0.7954  0.2053  0.2493  2 P 1.61-1.62
O  0.7399  0.9122  0.3318  1 P 1.55
O  0.0973  0.5214  0.1787  1 P 1.56
O  0.4674  0.9143  0.3282  1 P 1.56
O  0.0006  0.7565  0.0714  1 P 1.50
O  0.5279  0.3828  0.1781  1 P 1.57
O  0.6732  0.6670  0.0233  1 P 1.48
O  0.7649  0.2352  0.0660  1 P 1.47
O  0.3829  0.0945  0.1787  1 P 1.55
O  0.5227  0.6640  0.1766  1 P 1.57
O  0.0058  0.2344  0.9260  1 P 1.48
O  0.3242  0.3411  0.9756  1 P 1.48
O  0.6694  0.5181  0.6737  1 P 1.56
O  0.9163  0.3419  0.3364  1 P 1.57
O  0.4765  0.3367  0.8224  1 P 1.57
O  0.8179  0.6711  0.6703  1 P 1.59
O  0.2319  0.7611  0.9291  1 P 1.48
O  0.4799  0.1876  0.3264  1 P 1.61
O  0.6592  0.0853  0.1636  1 P 1.57
O  0.3406  0.9144  0.8388  1 P 1.56
O  0.4741  0.6171  0.8227  1 P 1.56
O  0.3825  0.5344  0.6711  1 P 1.56
O  0.9116  0.6154  0.3265  1 P 1.54
O  0.7907  0.0061  0.7566  2 P 1.61-1.62
O  0.3453  0.7400  0.3355  1 P 1.54
O  0.2113  0.0048  0.4233  1 P 1.49
O  0.2595  0.6560  0.1645  1 P 1.53
O  0.2095  0.9915  0.2437  2 P 1.60-1.62
O  0.3301  0.4822  0.3263  1 P 1.56
O  0.7939  0.2121  0.4316  1 P 1.48
O  0.6560  0.2585  0.6648  1 P 1.54
O  0.9052  0.4753  0.8208  1 P 1.57
O  0.2405  0.0096  0.0646  1 P 1.48
O  0.8161  0.5234  0.1754  1 P 1.62, 1 V 1.80
O  0.9843  0.7813  0.4325  1 P 1.49
O  0.2083  0.7855  0.5675  1 P 1.48
O  0.7603  0.9877  0.9368  1 P 1.48
O  0.0841  0.6573  0.6635  1 P 1.58
O  0.0012  0.7935  0.2506  2 P 1.61-1.62
O  0.5190  0.8134  0.6740  1 P 1.60
O  0.1811  0.3295  0.3319  1 P 1.57
O  0.6723  0.6727  0.5232  1 P 1.48
O  0.1816  0.4840  0.8264  1 P 1.61
O  0.6185  0.4644  0.3298  1 P 1.56
O  0.5318  0.0861  0.6727  1 P 1.57
O  0.7400  0.3444  0.8351  1 P 1.54
O  0.0911  0.3819  0.6748  1 P 1.56
O  0.3332  0.1815  0.8297  1 P 1.56
O  0.7871  0.9940  0.5766  1 P 1.49
O  0.6183  0.9037  0.8210  1 P 1.56
O  0.2061  0.7949  0.7491  2 P 1.62
O  0.2591  0.0861  0.6696  1 P 1.55
O  0.0173  0.2228  0.5647  1 P 1.49
O  0.0878  0.2566  0.1674  1 P 1.56
O  0.9171  0.7420  0.8374  1 P 1.56
O  0.3311  0.3280  0.4777  1 P 1.48
O  0.6658  0.8212  0.1697  1 P 1.57
O  0.9928  0.2082  0.7457  2 P 1.60-1.63
Li  0.0985  0.2347  0.4384  4 O 1.96-2.11
Li  0.7704  0.9136  0.0633  3 O 1.89-2.04
Li  0.0939  0.6824  0.9465  2 O 1.87-1.94
Li  0.0003  0.9994  0.4952  6 O 2.23-2.48
Li  0.9033  0.7665  0.5565  3 O 1.94-2.15
Li  0.2249  0.0898  0.9417  2 O 1.86-1.90

Results
Total energy after the MP2020 corrections = -7.63 eV/atom
Size of the total moment = 0.0 μB per cell
SG = No. 1
Excess energy over the best structure of this formula in the dataset = 0.62 eV per formula unit
Total energy = -606.10 eV for the cell shown

ΔH_f (0 K) readings, ordered: -2039; -1942; -2987; -2283; -2664; -2519 meV/atom